(1)
NaCd2Pd | PBE | relaxed

Properties
- formation energy (eV/atom) = -0.22

Unit cell a=4.826 b=4.826 c=4.826 alpha=60.00 beta=60.00 gamma=60.00
Fractional positions:
Cd (0.750, 0.750, 0.750)
Cd (0.250, 0.250, 0.250)
Na (0.500, 0.500, 0.500)
Pd (0.000, 0.000, 0.000)



(2)
Na4Cd3Se5 | PBE | relaxed

Properties
- formation energy (eV/atom) = -1.06

Unit cell a=4.315 b=14.290 c=20.504 alpha=90.00 beta=90.00 gamma=90.00
Fractional positions:
Na (0.250, 0.507, 0.081)
Na (0.750, 0.224, 0.334)
Na (0.250, 0.001, 0.767)
Na (0.750, 0.493, 0.919)
Na (0.250, 0.007, 0.419)
Na (0.250, 0.776, 0.666)
Na (0.750, 0.388, 0.448)
Na (0.250, 0.112, 0.948)
Na (0.250, 0.276, 0.834)
Na (0.750, 0.888, 0.052)
Na (0.750, 0.999, 0.233)
Na (0.250, 0.612, 0.552)
Na (0.750, 0.993, 0.581)
Na (0.250, 0.501, 0.733)
Na (0.750, 0.724, 0.166)
Na (0.750, 0.499, 0.267)
Cd (0.250, 0.817, 0.283)
Cd (0.250, 0.706, 0.965)
Cd (0.750, 0.294, 0.035)
Cd (0.250, 0.206, 0.535)
Cd (0.250, 0.076, 0.130)
Cd (0.250, 0.317, 0.217)
Cd (0.250, 0.576, 0.370)
Cd (0.750, 0.794, 0.465)
Cd (0.750, 0.924, 0.870)
Cd (0.750, 0.424, 0.630)
Cd (0.750, 0.683, 0.783)
Cd (0.750, 0.183, 0.717)
Se (0.250, 0.639, 0.247)
Se (0.750, 0.385, 0.151)
Se (0.250, 0.854, 0.532)
Se (0.250, 0.615, 0.849)
Se (0.250, 0.115, 0.651)
Se (0.750, 0.646, 0.032)
Se (0.250, 0.354, 0.968)
Se (0.750, 0.607, 0.446)
Se (0.750, 0.146, 0.468)
Se (0.750, 0.107, 0.054)
Se (0.750, 0.861, 0.747)
Se (0.250, 0.139, 0.253)
Se (0.750, 0.885, 0.349)
Se (0.250, 0.386, 0.343)
Se (0.250, 0.393, 0.554)
Se (0.750, 0.361, 0.753)
Se (0.250, 0.886, 0.157)
Se (0.250, 0.893, 0.946)
Se (0.750, 0.114, 0.843)
Se (0.750, 0.614, 0.657)



(3)
Nb2Cd2O7 | PBE | relaxed

Properties
- formation energy (eV/atom) = -2.47

Unit cell a=7.481 b=7.481 c=7.481 alpha=120.33 beta=119.56 gamma=90.09
Fractional positions:
Nb (0.988, 0.507, 0.982)
Nb (0.987, 0.500, 0.487)
Nb (0.475, 0.493, 0.482)
Nb (0.987, 0.000, 0.987)
O (0.325, 0.571, 0.647)
O (0.323, 0.570, 0.254)
O (0.690, 0.812, 0.756)
O (0.077, 0.816, 0.761)
O (0.076, 0.822, 0.147)
O (0.684, 0.430, 0.754)
O (0.690, 0.434, 0.378)
O (0.944, 0.184, 0.261)
O (0.944, 0.566, 0.256)
O (0.376, 0.124, 0.752)
O (0.076, 0.429, 0.754)
O (0.628, 0.876, 0.252)
O (0.325, 0.178, 0.254)
O (0.944, 0.188, 0.878)
Cd (0.487, 0.993, 0.994)
Cd (0.002, 0.007, 0.494)
Cd (0.486, 0.000, 0.486)
Cd (0.486, 0.500, 0.986)



(4)
Nb2Cd2O7 | PBE | relaxed

Properties
- formation energy (eV/atom) = -2.46

Unit cell a=7.468 b=7.468 c=7.468 alpha=60.00 beta=60.00 gamma=60.00
Fractional positions:
Cd (0.625, 0.625, 0.125)
Cd (0.625, 0.125, 0.625)
Cd (0.625, 0.625, 0.625)
Cd (0.125, 0.625, 0.625)
O (0.057, 0.443, 0.057)
O (0.500, 0.500, 0.500)
O (0.057, 0.057, 0.443)
O (0.193, 0.193, 0.807)
O (0.750, 0.750, 0.750)
O (0.443, 0.057, 0.057)
O (0.443, 0.057, 0.443)
O (0.443, 0.443, 0.057)
O (0.807, 0.193, 0.193)
O (0.193, 0.807, 0.807)
O (0.057, 0.443, 0.443)
O (0.807, 0.807, 0.193)
O (0.193, 0.807, 0.193)
O (0.807, 0.193, 0.807)
Nb (0.125, 0.625, 0.125)
Nb (0.625, 0.125, 0.125)
Nb (0.125, 0.125, 0.125)
Nb (0.125, 0.125, 0.625)



(5)
Nb2Cd2O7 | PBE | relaxed

Properties
- formation energy (eV/atom) = -2.19

Unit cell a=7.257 b=7.257 c=7.257 alpha=60.00 beta=60.00 gamma=60.00
Fractional positions:
O (0.267, 0.733, 0.733)
O (0.983, 0.517, 0.517)
O (0.983, 0.517, 0.983)
O (0.517, 0.983, 0.517)
O (0.517, 0.517, 0.983)
O (0.267, 0.267, 0.733)
O (0.750, 0.750, 0.750)
O (0.983, 0.983, 0.517)
O (0.517, 0.983, 0.983)
O (0.733, 0.267, 0.733)
O (0.733, 0.267, 0.267)
O (0.267, 0.733, 0.267)
O (0.733, 0.733, 0.267)
O (0.500, 0.500, 0.500)
Cd (0.625, 0.125, 0.125)
Cd (0.125, 0.125, 0.125)
Cd (0.125, 0.625, 0.125)
Cd (0.125, 0.125, 0.625)
Nb (0.625, 0.625, 0.625)
Nb (0.125, 0.625, 0.625)
Nb (0.625, 0.625, 0.125)
Nb (0.625, 0.125, 0.625)



(6)
Nd11Cd45 | PBE | relaxed

Properties
- formation energy (eV/atom) = -0.27

Unit cell a=15.614 b=15.614 c=15.614 alpha=60.00 beta=60.00 gamma=60.00
Fractional positions:
Cd (0.391, 0.391, 0.018)
Cd (0.404, 0.763, 0.069)
Cd (0.843, 0.157, 0.157)
Cd (0.511, 0.163, 0.163)
Cd (0.513, 0.513, 0.833)
Cd (0.263, 0.612, 0.861)
Cd (0.763, 0.069, 0.763)
Cd (0.201, 0.391, 0.391)
Cd (0.763, 0.763, 0.404)
Cd (0.391, 0.391, 0.201)
Cd (0.069, 0.763, 0.763)
Cd (0.833, 0.142, 0.513)
Cd (0.018, 0.391, 0.391)
Cd (0.641, 0.641, 0.450)
Cd (0.404, 0.069, 0.763)
Cd (0.763, 0.404, 0.069)
Cd (0.913, 0.913, 0.260)
Cd (0.157, 0.843, 0.843)
Cd (0.201, 0.018, 0.391)
Cd (0.913, 0.913, 0.913)
Cd (0.268, 0.450, 0.641)
Cd (0.913, 0.260, 0.913)
Cd (0.913, 0.913, 0.587)
Cd (0.157, 0.157, 0.843)
Cd (0.391, 0.018, 0.201)
Cd (0.163, 0.511, 0.163)
Cd (0.587, 0.913, 0.913)
Cd (0.763, 0.404, 0.763)
Cd (0.843, 0.157, 0.843)
Cd (0.843, 0.843, 0.157)
Cd (0.641, 0.450, 0.268)
Cd (0.763, 0.763, 0.069)
Cd (0.083, 0.083, 0.750)
Cd (0.587, 0.587, 0.913)
Cd (0.157, 0.843, 0.157)
Cd (0.391, 0.018, 0.391)
Cd (0.612, 0.263, 0.861)
Cd (0.263, 0.612, 0.263)
Cd (0.263, 0.861, 0.612)
Cd (0.861, 0.263, 0.612)
Cd (0.163, 0.163, 0.511)
Cd (0.018, 0.201, 0.391)
Cd (0.268, 0.641, 0.450)
Cd (0.587, 0.913, 0.587)
Cd (0.069, 0.763, 0.404)
Cd (0.641, 0.641, 0.268)
Cd (0.142, 0.513, 0.513)
Cd (0.641, 0.450, 0.641)
Cd (0.404, 0.763, 0.763)
Cd (0.263, 0.263, 0.612)
Cd (0.163, 0.163, 0.163)
Cd (0.513, 0.513, 0.142)
Cd (0.913, 0.587, 0.587)
Cd (0.201, 0.391, 0.018)
Cd (0.830, 0.510, 0.830)
Cd (0.513, 0.833, 0.142)
Cd (0.142, 0.833, 0.513)
Cd (0.750, 0.083, 0.083)
Cd (0.513, 0.142, 0.513)
Cd (0.083, 0.083, 0.083)
Cd (0.263, 0.263, 0.861)
Cd (0.641, 0.268, 0.450)
Cd (0.763, 0.069, 0.404)
Cd (0.861, 0.263, 0.263)
Cd (0.083, 0.750, 0.083)
Cd (0.069, 0.404, 0.763)
Cd (0.142, 0.513, 0.833)
Cd (0.913, 0.587, 0.913)
Cd (0.750, 0.750, 0.750)
Cd (0.612, 0.263, 0.263)
Cd (0.861, 0.612, 0.263)
Cd (0.018, 0.391, 0.201)
Cd (0.260, 0.913, 0.913)
Cd (0.500, 0.500, 0.500)
Cd (0.391, 0.201, 0.018)
Cd (0.263, 0.861, 0.263)
Cd (0.830, 0.830, 0.830)
Cd (0.513, 0.142, 0.833)
Cd (0.513, 0.833, 0.513)
Cd (0.450, 0.641, 0.268)
Cd (0.833, 0.513, 0.142)
Cd (0.510, 0.830, 0.830)
Cd (0.268, 0.641, 0.641)
Cd (0.450, 0.268, 0.641)
Cd (0.641, 0.268, 0.641)
Cd (0.391, 0.201, 0.391)
Cd (0.833, 0.513, 0.513)
Cd (0.612, 0.861, 0.263)
Cd (0.450, 0.641, 0.641)
Cd (0.830, 0.830, 0.510)
Nd (0.250, 0.250, 0.250)
Nd (0.780, 0.407, 0.407)
Nd (0.642, 0.332, 0.013)
Nd (0.664, 0.009, 0.664)
Nd (0.013, 0.013, 0.332)
Nd (0.664, 0.664, 0.009)
Nd (0.332, 0.013, 0.013)
Nd (0.013, 0.642, 0.332)
Nd (0.013, 0.013, 0.642)
Nd (0.332, 0.642, 0.013)
Nd (0.642, 0.013, 0.013)
Nd (0.013, 0.642, 0.013)
Nd (0.013, 0.332, 0.013)
Nd (0.407, 0.407, 0.780)
Nd (0.407, 0.407, 0.407)
Nd (0.407, 0.780, 0.407)
Nd (0.664, 0.664, 0.664)
Nd (0.332, 0.013, 0.642)
Nd (0.642, 0.013, 0.332)
Nd (0.009, 0.664, 0.664)
Nd (0.000, 0.000, 0.000)
Nd (0.013, 0.332, 0.642)



(7)
Nd3Cd | PBE | relaxed

Properties
- polymorph energy (0 for the lowest one) (meV/atom) = 0
- formation energy (eV/atom) = -0.10

Unit cell a=6.172 b=6.172 c=6.172 alpha=132.67 beta=132.67 gamma=69.17
Fractional positions:
Nd (0.500, 0.500, 0.000)
Nd (0.750, 0.250, 0.500)
Nd (0.250, 0.750, 0.500)
Cd (0.000, 0.000, 0.000)



(8)
Nd13Cd58 | PBE | relaxed

Properties
- formation energy (eV/atom) = -0.25

Unit cell a=15.978 b=15.978 c=15.662 alpha=90.00 beta=90.00 gamma=120.00
Fractional positions:
Cd (0.235, 0.765, 0.658)
Cd (0.093, 0.907, 0.344)
Cd (0.635, 0.964, 0.897)
Cd (0.877, 0.439, 0.645)
Cd (0.733, 0.267, 0.750)
Cd (0.365, 0.329, 0.397)
Cd (0.000, 0.000, 0.250)
Cd (0.561, 0.123, 0.855)
Cd (0.667, 0.333, 0.595)
Cd (0.801, 0.000, 0.000)
Cd (0.635, 0.964, 0.603)
Cd (0.036, 0.365, 0.603)
Cd (0.801, 0.801, 0.500)
Cd (0.333, 0.667, 0.405)
Cd (0.333, 0.667, 0.095)
Cd (0.000, 0.000, 0.750)
Cd (0.530, 0.765, 0.658)
Cd (0.000, 0.199, 0.000)
Cd (0.185, 0.093, 0.656)
Cd (0.329, 0.964, 0.603)
Cd (0.201, 0.600, 0.552)
Cd (0.082, 0.358, 0.250)
Cd (0.470, 0.235, 0.342)
Cd (0.765, 0.530, 0.158)
Cd (0.123, 0.561, 0.355)
Cd (0.907, 0.093, 0.656)
Cd (0.358, 0.082, 0.750)
Cd (0.439, 0.561, 0.355)
Cd (0.365, 0.036, 0.103)
Cd (0.918, 0.642, 0.750)
Cd (0.199, 0.000, 0.500)
Cd (0.667, 0.333, 0.905)
Cd (0.964, 0.635, 0.103)
Cd (0.500, 0.000, 0.500)
Cd (0.439, 0.877, 0.355)
Cd (0.235, 0.765, 0.842)
Cd (0.671, 0.036, 0.103)
Cd (0.799, 0.400, 0.052)
Cd (0.277, 0.918, 0.250)
Cd (0.723, 0.082, 0.750)
Cd (0.000, 0.199, 0.500)
Cd (0.235, 0.470, 0.842)
Cd (0.535, 0.267, 0.750)
Cd (0.600, 0.400, 0.052)
Cd (0.635, 0.671, 0.897)
Cd (0.365, 0.036, 0.397)
Cd (0.642, 0.918, 0.250)
Cd (0.093, 0.907, 0.156)
Cd (0.400, 0.600, 0.552)
Cd (0.329, 0.365, 0.603)
Cd (0.801, 0.801, 0.000)
Cd (0.439, 0.561, 0.145)
Cd (0.561, 0.439, 0.855)
Cd (0.667, 0.333, 0.250)
Cd (0.093, 0.185, 0.344)
Cd (0.877, 0.439, 0.855)
Cd (0.470, 0.235, 0.158)
Cd (0.000, 0.801, 0.500)
Cd (0.400, 0.799, 0.948)
Cd (0.267, 0.733, 0.250)
Cd (0.500, 0.500, 0.500)
Cd (0.907, 0.815, 0.656)
Cd (0.671, 0.635, 0.397)
Cd (0.199, 0.199, 0.000)
Cd (0.635, 0.671, 0.603)
Cd (0.733, 0.465, 0.750)
Cd (0.600, 0.201, 0.448)
Cd (0.036, 0.671, 0.603)
Cd (0.723, 0.642, 0.750)
Cd (0.329, 0.365, 0.897)
Cd (0.671, 0.036, 0.397)
Cd (0.201, 0.600, 0.948)
Cd (0.400, 0.600, 0.948)
Cd (0.918, 0.277, 0.750)
Cd (0.465, 0.733, 0.250)
Cd (0.561, 0.439, 0.645)
Cd (0.123, 0.561, 0.145)
Cd (0.815, 0.907, 0.344)
Cd (0.036, 0.671, 0.897)
Cd (0.907, 0.093, 0.844)
Cd (0.400, 0.799, 0.552)
Cd (0.530, 0.765, 0.842)
Cd (0.765, 0.235, 0.342)
Cd (0.365, 0.329, 0.103)
Cd (0.199, 0.000, 0.000)
Cd (0.199, 0.199, 0.500)
Cd (0.799, 0.400, 0.448)
Cd (0.333, 0.667, 0.750)
Cd (0.093, 0.185, 0.156)
Cd (0.267, 0.535, 0.250)
Cd (0.500, 0.500, 0.000)
Cd (0.964, 0.635, 0.397)
Cd (0.765, 0.235, 0.158)
Cd (0.500, 0.000, 0.000)
Cd (0.329, 0.964, 0.897)
Cd (0.964, 0.329, 0.397)
Cd (0.765, 0.530, 0.342)
Cd (0.964, 0.329, 0.103)
Cd (0.000, 0.801, 0.000)
Cd (0.600, 0.400, 0.448)
Cd (0.642, 0.723, 0.250)
Cd (0.671, 0.635, 0.103)
Cd (0.036, 0.365, 0.897)
Cd (0.000, 0.500, 0.500)
Cd (0.801, 0.000, 0.500)
Cd (0.235, 0.470, 0.658)
Cd (0.439, 0.877, 0.145)
Cd (0.815, 0.907, 0.156)
Cd (0.185, 0.093, 0.844)
Cd (0.277, 0.358, 0.250)
Cd (0.600, 0.201, 0.052)
Cd (0.000, 0.500, 0.000)
Cd (0.082, 0.723, 0.250)
Cd (0.907, 0.815, 0.844)
Cd (0.358, 0.277, 0.750)
Cd (0.561, 0.123, 0.645)
Nd (0.795, 0.205, 0.552)
Nd (0.795, 0.589, 0.948)
Nd (0.872, 0.743, 0.250)
Nd (0.411, 0.205, 0.948)
Nd (0.000, 0.000, 0.500)
Nd (0.205, 0.795, 0.448)
Nd (0.205, 0.795, 0.052)
Nd (0.457, 0.914, 0.750)
Nd (0.205, 0.411, 0.052)
Nd (0.872, 0.128, 0.250)
Nd (0.543, 0.457, 0.250)
Nd (0.914, 0.457, 0.250)
Nd (0.457, 0.543, 0.750)
Nd (0.543, 0.086, 0.250)
Nd (0.795, 0.205, 0.948)
Nd (0.128, 0.872, 0.750)
Nd (0.000, 0.000, 0.000)
Nd (0.795, 0.589, 0.552)
Nd (0.205, 0.411, 0.448)
Nd (0.743, 0.872, 0.750)
Nd (0.257, 0.128, 0.250)
Nd (0.128, 0.257, 0.750)
Nd (0.411, 0.205, 0.552)
Nd (0.086, 0.543, 0.750)
Nd (0.589, 0.795, 0.448)
Nd (0.589, 0.795, 0.052)